1.
A relaxed structure of Te2MoWSe2, computed with GGA-PBE.

a = 3.438 Å, b = 3.438 Å, c = 39.090 Å
α = 90.00°, β = 90.00°, γ = 120.00°
Fractional positions:
Te1 0.000 0.000 0.705
Te2 0.333 0.667 0.047
Te3 0.333 0.667 0.141
Te4 0.000 0.000 0.610
Mo1 0.000 0.000 0.094
Mo2 0.000 0.000 0.470
W1 0.333 0.667 0.282
W2 0.333 0.667 0.658
Se1 0.000 0.000 0.324
Se2 0.333 0.667 0.428
Se3 0.333 0.667 0.511
Se4 0.000 0.000 0.240

Calculated values
- Symmetry: No. 156
- Density: 5.75 Mg/m³
- ΔH_f (0 K): -0.52 eV/atom



2.
A relaxed structure of Te2MoWSe2, computed with GGA-PBE.

a = 3.434 Å, b = 3.434 Å, c = 24.409 Å
α = 90.00°, β = 90.00°, γ = 120.00°
Fractional positions:
Te1 0.333 0.667 0.528
Te2 0.333 0.667 0.375
Mo1 0.667 0.333 0.451
W1 0.333 0.667 0.150
Se1 0.667 0.333 0.083
Se2 0.667 0.333 0.218

Calculated values
- Symmetry: No. 156
- Density: 4.62 Mg/m³
- ΔH_f (0 K): -0.54 eV/atom



3.
A relaxed structure of Te2MoWSe2, computed with GGA-PBE.

a = 3.436 Å, b = 3.436 Å, c = 39.117 Å
α = 90.00°, β = 90.00°, γ = 120.00°
Fractional positions:
Te1 0.333 0.667 0.046
Te2 0.333 0.667 0.422
Te3 0.333 0.667 0.141
Te4 0.333 0.667 0.517
Mo1 0.000 0.000 0.094
Mo2 0.000 0.000 0.470
W1 0.333 0.667 0.282
W2 0.333 0.667 0.658
Se1 0.000 0.000 0.324
Se2 0.000 0.000 0.700
Se3 0.000 0.000 0.240
Se4 0.000 0.000 0.616

Calculated values
- Symmetry: No. 156
- Density: 5.75 Mg/m³
- ΔH_f (0 K): -0.54 eV/atom



4.
A relaxed structure of Te3MoWSe, computed with GGA-PBE.

a = 3.495 Å, b = 3.495 Å, c = 39.662 Å
α = 90.00°, β = 90.00°, γ = 120.00°
Fractional positions:
Te1 0.000 0.000 0.328
Te2 0.000 0.000 0.704
Te3 0.333 0.667 0.423
Te4 0.333 0.667 0.516
Te5 0.000 0.000 0.236
Te6 0.000 0.000 0.611
Mo1 0.000 0.000 0.470
Mo2 0.333 0.667 0.282
W1 0.000 0.000 0.094
W2 0.333 0.667 0.658
Se1 0.333 0.667 0.053
Se2 0.333 0.667 0.135

Calculated values
- Symmetry: No. 156
- Density: 5.87 Mg/m³
- ΔH_f (0 K): -0.35 eV/atom



Offset from the most stable computed form
In order: 19 1 0 1
Unit: meV per atom